## CdIn4As4S (PBE)

Data for a relaxed structure of CdIn4As4S.

Formation enthalpy at 0 K (meV per atom): -349.4
Crystal system: trigonal

Unit cell a=17.895 b=17.895 c=17.895 alpha=13.98 beta=13.98 gamma=13.98
Fractional coordinates of all 10 atoms:
Cd1 0.000 0.000 0.000
In1 0.200 0.200 0.200
In2 0.400 0.400 0.400
In3 0.601 0.601 0.601
In4 0.800 0.800 0.800
As1 0.050 0.050 0.050
As2 0.251 0.251 0.251
As3 0.450 0.450 0.450
As4 0.850 0.850 0.850
S1 0.649 0.649 0.649